Density functional theory data (PBE with a Hubbard U) for a relaxed structure of MgCo6O7F5. Values from VASP.

Summary:
Magnetization (μB per cell): 17.0
Symmetry: No. 1
Energy of formation (eV per atom): -1.66
Total DFT energy (no corrections) (eV per atom): -5.4210
E above lowest polymorph (eV per atom): 0.0592

Structure (Quantum ESPRESSO input):
```
&SYSTEM
  ibrav = 0, nat = 19, ntyp = 4
/
ATOMIC_SPECIES
Mg 24.30 Mg.upf
Co 58.93 Co.upf
O 16.00 O.upf
F 19.00 F.upf
ATOMIC_POSITIONS angstrom
Mg 0.000 0.000 0.000
Co 0.667 1.326 2.621
Co 1.023 2.898 0.193
Co 3.585 4.046 2.394
Co 3.587 2.562 4.895
Co 3.634 5.402 0.024
Co 6.557 5.277 4.866
O 2.331 5.359 3.240
O 2.424 3.851 5.724
O 1.403 1.161 0.823
O 2.342 4.073 0.743
O 4.742 1.253 4.238
O 4.973 2.752 1.699
O 6.024 5.489 6.667
F 2.297 1.155 5.797
F 2.428 2.509 3.244
F 4.714 4.066 4.134
F 4.745 2.499 6.632
F 4.948 5.571 1.593
CELL_PARAMETERS angstrom
5.093 0.000 0.000
1.098 5.692 0.000
1.013 1.297 7.396
```


Density functional theory data (PBE with a Hubbard U) for a relaxed structure of MgCo6O7F5. Values from VASP.

Summary:
Magnetization (μB per cell): 17.0
Symmetry: No. 1
Energy of formation (eV per atom): -1.68
Total DFT energy (no corrections) (eV per atom): -5.4395
E above lowest polymorph (eV per atom): 0.0408

Structure (Quantum ESPRESSO input):
```
&SYSTEM
  ibrav = 0, nat = 19, ntyp = 4
/
ATOMIC_SPECIES
Mg 24.30 Mg.upf
Co 58.93 Co.upf
O 16.00 O.upf
F 19.00 F.upf
ATOMIC_POSITIONS angstrom
Mg 0.000 0.000 0.000
Co 0.995 2.859 4.242
Co 3.643 4.925 5.420
Co 3.814 5.063 2.879
Co 2.802 0.191 8.487
Co 5.766 2.527 7.029
Co 5.759 2.564 1.447
O 1.426 1.601 8.519
O 1.460 1.676 5.623
O 1.453 1.700 2.840
O 2.571 4.115 4.228
O 5.129 3.570 5.626
O 5.130 3.569 2.864
O 5.312 3.637 8.522
F 2.621 4.305 1.303
F 2.774 4.343 7.153
F 3.613 0.833 4.322
F 3.912 0.866 1.363
F 4.210 1.011 7.243
CELL_PARAMETERS angstrom
5.182 0.000 0.000
1.309 5.058 0.000
0.193 0.024 8.561
```


Density functional theory data (PBE with a Hubbard U) for a relaxed structure of MgCo6O7F5. Values from VASP.

Summary:
Magnetization (μB per cell): 17.0
Symmetry: No. 1
Energy of formation (eV per atom): -1.66
Total DFT energy (no corrections) (eV per atom): -5.4227
E above lowest polymorph (eV per atom): 0.0576

Structure (Quantum ESPRESSO input):
```
&SYSTEM
  ibrav = 0, nat = 19, ntyp = 4
/
ATOMIC_SPECIES
Mg 24.30 Mg.upf
Co 58.93 Co.upf
O 16.00 O.upf
F 19.00 F.upf
ATOMIC_POSITIONS angstrom
Mg 0.000 0.000 0.000
Co 2.304 0.112 2.845
Co 2.307 0.114 5.701
Co 2.579 0.508 8.554
Co 5.071 2.550 1.443
Co 5.081 2.549 7.108
Co 5.218 2.514 4.272
O 1.309 0.833 1.373
O 1.313 0.833 7.177
O 1.393 0.959 4.272
O 4.027 4.213 4.272
O 4.237 4.415 7.201
O 4.236 4.415 1.347
O 3.961 1.748 8.555
F 1.317 3.359 5.706
F 1.329 3.350 2.841
F 1.449 3.223 8.555
F 3.945 1.750 2.907
F 3.958 1.752 5.636
CELL_PARAMETERS angstrom
4.974 0.000 0.000
0.946 5.028 0.000
0.006 0.004 8.562
```


Density functional theory data (PBE with a Hubbard U) for a relaxed structure of MgCo6O7F5. Values from VASP.

Summary:
Magnetization (μB per cell): 19.0
Symmetry: No. 1
Energy of formation (eV per atom): -1.65
Total DFT energy (no corrections) (eV per atom): -5.4095
E above lowest polymorph (eV per atom): 0.0707

Structure (Quantum ESPRESSO input):
```
&SYSTEM
  ibrav = 0, nat = 19, ntyp = 4
/
ATOMIC_SPECIES
Mg 24.30 Mg.upf
Co 58.93 Co.upf
O 16.00 O.upf
F 19.00 F.upf
ATOMIC_POSITIONS angstrom
Mg 0.000 0.000 0.000
Co 1.361 1.008 4.571
Co 1.632 1.212 1.680
Co 2.072 1.549 7.394
Co 4.283 3.221 0.132
Co 4.611 3.469 5.996
Co 4.622 3.475 3.127
O 0.647 1.999 3.108
O 0.601 1.914 0.170
O 0.738 2.051 5.988
O 2.012 0.027 0.166
O 3.518 4.994 3.109
O 2.193 0.122 5.988
O 3.497 2.615 7.448
F 3.303 2.475 1.721
F 3.537 2.654 4.550
F 5.764 4.343 7.433
F 5.684 4.286 1.559
F 5.765 4.337 4.510
CELL_PARAMETERS angstrom
5.134 0.000 0.000
1.401 4.944 0.000
0.180 0.146 8.840
```


Density functional theory data (PBE with a Hubbard U) for a relaxed structure of MgCo6O6F6. Values from VASP.

Summary:
Magnetization (μB per cell): 20.0
Symmetry: No. 1
Energy of formation (eV per atom): -1.78
Total DFT energy (no corrections) (eV per atom): -5.3993
E above lowest polymorph (eV per atom): 0.0387

Structure (Quantum ESPRESSO input):
```
&SYSTEM
  ibrav = 0, nat = 19, ntyp = 4
/
ATOMIC_SPECIES
Mg 24.30 Mg.upf
Co 58.93 Co.upf
O 16.00 O.upf
F 19.00 F.upf
ATOMIC_POSITIONS angstrom
Mg 0.000 0.000 0.000
Co 0.085 1.396 4.795
Co 0.073 1.436 9.112
Co 0.118 1.331 13.683
Co 1.593 4.158 2.783
Co 1.492 3.683 6.928
Co 1.634 -0.711 11.230
O 0.072 -0.133 3.442
O 0.087 2.948 6.008
O 0.126 -0.383 12.593
O 1.480 4.207 0.944
O 1.589 2.210 8.240
O 1.592 0.715 10.126
F -0.033 1.743 0.837
F 0.000 -0.392 7.936
F 0.087 3.309 10.441
F 1.603 2.379 3.610
F 1.574 0.384 5.739
F 1.628 2.323 12.670
CELL_PARAMETERS angstrom
3.024 0.000 0.000
-0.033 5.110 0.000
-1.359 -1.250 13.985
```


Density functional theory data (PBE with a Hubbard U) for a relaxed structure of MgCo6O7F5. Values from VASP.

Summary:
Magnetization (μB per cell): 17.0
Symmetry: No. 1
Energy of formation (eV per atom): -1.70
Total DFT energy (no corrections) (eV per atom): -5.4639
E above lowest polymorph (eV per atom): 0.0164

Structure (Quantum ESPRESSO input):
```
&SYSTEM
  ibrav = 0, nat = 19, ntyp = 4
/
ATOMIC_SPECIES
Mg 24.30 Mg.upf
Co 58.93 Co.upf
O 16.00 O.upf
F 19.00 F.upf
ATOMIC_POSITIONS angstrom
Mg 0.000 0.000 0.000
Co -2.264 -0.082 6.491
Co -0.034 2.111 2.374
Co 0.852 -2.060 5.564
Co 3.327 -0.239 1.204
Co 1.743 1.011 4.381
Co 4.873 -1.129 3.513
O -2.649 1.606 5.653
O -1.083 -1.132 5.512
O 0.192 0.583 3.438
O 0.095 3.403 1.021
O 1.862 -0.423 5.595
O 1.494 2.549 3.354
O 4.609 1.367 1.008
F -1.403 3.111 3.553
F 1.697 0.753 0.706
F 0.191 2.208 6.054
F 3.155 0.025 3.179
F 2.799 4.175 1.459
CELL_PARAMETERS angstrom
5.745 0.000 0.000
-2.347 5.380 0.000
-1.440 -2.735 6.943
```


Density functional theory data (PBE with a Hubbard U) for a relaxed structure of MgCo6O7F5. Values from VASP.

Summary:
Magnetization (μB per cell): 19.0
Symmetry: No. 1
Energy of formation (eV per atom): -1.67
Total DFT energy (no corrections) (eV per atom): -5.4304
E above lowest polymorph (eV per atom): 0.0498

Structure (Quantum ESPRESSO input):
```
&SYSTEM
  ibrav = 0, nat = 19, ntyp = 4
/
ATOMIC_SPECIES
Mg 24.30 Mg.upf
Co 58.93 Co.upf
O 16.00 O.upf
F 19.00 F.upf
ATOMIC_POSITIONS angstrom
Mg 0.000 0.000 0.000
Co 3.301 2.025 6.275
Co 3.859 5.368 1.474
Co 3.817 3.808 4.045
Co 5.258 0.740 3.759
Co 5.456 2.299 1.493
Co 6.275 4.649 6.123
O 1.661 0.919 0.523
O 2.638 3.606 5.526
O 4.139 2.060 4.592
O 4.238 3.602 2.199
O 5.161 6.189 7.077
O 5.212 4.862 4.532
O 4.447 0.653 1.882
F 1.272 3.717 0.483
F 1.321 2.233 3.073
F 2.329 6.452 5.645
F 2.627 5.209 3.134
F 5.355 3.134 7.119
CELL_PARAMETERS angstrom
5.181 0.000 0.000
0.988 5.651 0.000
0.844 1.194 7.514
```


Density functional theory data (PBE with a Hubbard U) for a relaxed structure of MgCo6O7F5. Values from VASP.

Summary:
Magnetization (μB per cell): 15.0
Symmetry: No. 1
Energy of formation (eV per atom): -1.61
Total DFT energy (no corrections) (eV per atom): -5.3730
E above lowest polymorph (eV per atom): 0.1073

Structure (Quantum ESPRESSO input):
```
&SYSTEM
  ibrav = 0, nat = 19, ntyp = 4
/
ATOMIC_SPECIES
Mg 24.30 Mg.upf
Co 58.93 Co.upf
O 16.00 O.upf
F 19.00 F.upf
ATOMIC_POSITIONS angstrom
Mg 0.000 0.000 0.000
Co -0.313 2.440 5.840
Co 2.039 0.446 7.063
Co 1.819 4.822 4.360
Co 1.942 4.698 1.592
Co 4.316 2.388 0.035
Co 4.454 2.487 2.877
O 0.311 1.364 7.434
O 0.901 3.934 5.764
O 1.040 3.893 2.957
O 3.136 0.898 0.076
O 3.257 0.845 2.956
O 3.160 1.096 5.647
O 3.510 3.481 1.348
F 0.600 1.300 1.408
F 0.627 1.536 4.371
F 0.919 3.828 0.087
F 3.481 3.462 4.391
F 3.485 3.451 7.306
CELL_PARAMETERS angstrom
4.902 0.000 0.000
-0.706 4.908 0.000
-0.172 -0.164 8.747
```


Density functional theory data (PBE with a Hubbard U) for a relaxed structure of MgCo6O6F6. Values from VASP.

Summary:
Magnetization (μB per cell): 18.0
Symmetry: No. 3
Energy of formation (eV per atom): -1.81
Total DFT energy (no corrections) (eV per atom): -5.4275
E above lowest polymorph (eV per atom): 0.0105

Structure (Quantum ESPRESSO input):
```
&SYSTEM
  ibrav = 0, nat = 19, ntyp = 4
/
ATOMIC_SPECIES
Mg 24.30 Mg.upf
Co 58.93 Co.upf
O 16.00 O.upf
F 19.00 F.upf
ATOMIC_POSITIONS angstrom
Mg 0.000 0.000 0.000
Co -0.403 1.492 4.953
Co 1.868 2.995 2.960
Co 2.588 1.499 0.000
Co 1.764 2.990 7.115
Co 1.660 2.995 11.271
Co 3.931 1.492 9.278
O 0.264 2.992 3.940
O 0.955 1.491 6.220
O 1.822 2.998 1.004
O 1.705 2.998 13.227
O 2.573 1.491 8.010
O 3.264 2.992 10.290
F -0.878 1.499 13.176
F -0.089 2.991 8.458
F 0.517 1.495 10.669
F 3.011 1.495 3.562
F 3.617 2.991 5.772
F 4.405 1.499 1.055
CELL_PARAMETERS angstrom
5.177 0.000 0.000
0.000 2.999 0.000
-1.649 0.000 14.230
```


Density functional theory data (PBE with a Hubbard U) for a relaxed structure of MgCo6O7F5. Values from VASP.

Summary:
Magnetization (μB per cell): 13.0
Symmetry: No. 1
Energy of formation (eV per atom): -1.68
Total DFT energy (no corrections) (eV per atom): -5.4463
E above lowest polymorph (eV per atom): 0.0340

Structure (Quantum ESPRESSO input):
```
&SYSTEM
  ibrav = 0, nat = 19, ntyp = 4
/
ATOMIC_SPECIES
Mg 24.30 Mg.upf
Co 58.93 Co.upf
O 16.00 O.upf
F 19.00 F.upf
ATOMIC_POSITIONS angstrom
Mg 0.000 0.000 0.000
Co 6.030 2.625 1.412
Co 1.017 2.737 7.029
Co 4.452 5.364 8.537
Co 2.785 0.130 5.607
Co 2.829 0.170 2.754
Co 6.091 2.676 4.228
O 1.555 1.636 8.521
O 1.570 1.693 2.784
O 1.661 1.738 5.658
O 3.711 0.693 1.242
O 5.487 3.704 5.663
O 5.445 3.655 2.781
O 5.673 3.842 8.508
F 3.225 4.614 7.242
F 3.083 4.478 1.236
F 3.341 4.608 4.077
F 3.971 0.873 7.243
F 3.943 0.954 4.142
CELL_PARAMETERS angstrom
5.178 0.000 0.000
1.654 5.236 0.000
0.194 0.133 8.580
```


Density functional theory data (PBE with a Hubbard U) for a relaxed structure of MgCo6O7F5. Values from VASP.

Summary:
Magnetization (μB per cell): 17.0
Symmetry: No. 1
Energy of formation (eV per atom): -1.70
Total DFT energy (no corrections) (eV per atom): -5.4606
E above lowest polymorph (eV per atom): 0.0197

Structure (Quantum ESPRESSO input):
```
&SYSTEM
  ibrav = 0, nat = 19, ntyp = 4
/
ATOMIC_SPECIES
Mg 24.30 Mg.upf
Co 58.93 Co.upf
O 16.00 O.upf
F 19.00 F.upf
ATOMIC_POSITIONS angstrom
Mg 0.000 0.000 0.000
Co 1.367 5.870 3.614
Co 0.963 2.364 1.429
Co 3.339 1.409 5.948
Co 3.463 4.708 1.264
Co 3.446 3.092 3.557
Co 6.174 3.920 5.861
O 1.800 2.463 6.827
O 1.103 0.296 1.815
O 2.028 4.184 4.260
O 2.569 3.137 1.871
O 4.899 2.026 2.934
O 4.988 3.787 0.517
O 5.838 5.874 5.436
F 2.360 1.459 4.216
F 3.324 5.290 6.744
F 3.379 0.787 0.518
F 4.375 3.142 5.338
F 4.525 4.799 3.008
CELL_PARAMETERS angstrom
5.062 0.000 0.000
0.914 5.549 0.000
0.844 0.722 7.327
```


Density functional theory data (PBE with a Hubbard U) for a relaxed structure of MgCo6O7F5. Values from VASP.

Summary:
Magnetization (μB per cell): 21.0
Symmetry: No. 1
Energy of formation (eV per atom): -1.66
Total DFT energy (no corrections) (eV per atom): -5.4265
E above lowest polymorph (eV per atom): 0.0538

Structure (Quantum ESPRESSO input):
```
&SYSTEM
  ibrav = 0, nat = 19, ntyp = 4
/
ATOMIC_SPECIES
Mg 24.30 Mg.upf
Co 58.93 Co.upf
O 16.00 O.upf
F 19.00 F.upf
ATOMIC_POSITIONS angstrom
Mg 0.000 0.000 0.000
Co 3.026 3.367 3.796
Co 3.683 5.224 1.603
Co 3.631 2.042 6.324
Co 5.192 2.370 1.445
Co 6.024 4.349 6.181
Co 5.278 0.574 3.735
O 2.358 5.032 3.175
O 2.309 3.352 5.541
O 3.827 3.444 2.154
O 4.001 1.838 4.450
O 4.894 5.900 7.136
O 5.103 2.891 7.070
O 4.388 0.506 1.918
F 1.944 6.142 5.654
F 1.211 3.719 0.418
F 1.289 2.149 3.052
F 1.619 0.943 0.550
F 5.028 4.643 4.538
CELL_PARAMETERS angstrom
5.132 0.000 0.000
0.866 5.622 0.000
0.761 0.980 7.562
```